[1]
# Li4Ti3Fe5O16

Crystalline Li4Ti3Fe5O16 at its relaxed geometry (GGA+U, the Materials Project database).

```
Li4Ti3Fe5O16
1.0
4.974 -2.917 0.000
4.974 2.917 0.000
-0.136 0.000 9.676
Li Ti Fe O
4 3 5 16
Cartesian
0.000 0.000 0.000
-0.030 0.000 4.812
3.361 0.000 5.767
6.745 0.000 0.982
1.778 0.000 2.632
5.877 1.431 7.500
5.877 -1.431 7.500
4.184 1.405 2.726
3.332 0.000 9.645
4.184 -1.405 2.726
6.681 0.000 4.748
8.197 0.000 7.575
0.004 0.000 1.814
-0.022 0.000 6.628
2.664 1.307 1.539
4.064 1.517 8.606
1.591 0.000 8.665
5.803 1.473 3.800
3.385 0.000 3.763
4.848 0.000 1.596
2.664 -1.307 1.539
5.161 0.000 6.403
7.416 1.288 6.338
6.516 0.000 8.677
4.064 -1.517 8.606
5.803 -1.473 3.800
8.371 0.000 3.698
7.416 -1.288 6.338
```

Space group = Cm, No. 8
Excess energy over the best structure of this formula in the dataset = 3.7 kJ/mol of atoms
Uncorrected energy = -6.970 eV per atom
DFT formation energy = -2.307 eV per atom

[2]
# Li3Co2Si2O8

Crystalline Li3Co2Si2O8 at its relaxed geometry (GGA+U, the Materials Project database).

```
Li3Co2Si2O8
1.0
5.245 0.000 0.000
-0.121 5.258 0.000
-0.066 -0.002 6.409
Li Co Si O
3 2 2 8
Cartesian
0.000 0.000 0.000
0.530 2.692 4.772
2.586 0.731 1.591
0.621 2.676 1.622
2.515 0.761 4.730
3.170 3.337 6.353
5.051 5.233 3.185
0.079 3.640 3.201
0.543 0.656 1.815
0.613 0.636 4.576
2.547 2.679 1.249
2.544 2.605 5.007
2.890 4.997 6.253
3.554 0.340 3.267
4.816 3.243 6.387
```

Space group = P1, No. 1
Excess energy over the best structure of this formula in the dataset = 0.2 kJ/mol of atoms
Uncorrected energy = -6.515 eV per atom
DFT formation energy = -2.408 eV per atom

[3]
# FeOF

Crystalline FeOF at its relaxed geometry (GGA+U, the Materials Project database).

```
FeOF
1.0
9.455 0.000 0.000
0.000 3.110 0.000
-0.031 0.000 9.455
Fe O F
8 8 8
Cartesian
0.000 0.000 0.000
0.076 0.000 4.541
2.152 1.555 2.233
2.286 1.555 6.690
4.395 0.000 4.411
4.757 0.000 9.292
6.854 1.555 6.967
7.031 1.555 1.968
0.750 1.555 5.488
0.897 1.555 0.667
1.295 0.000 3.055
3.222 0.000 5.980
3.718 1.555 3.502
5.520 1.555 0.730
6.031 0.000 7.761
7.919 0.000 1.210
1.339 0.000 7.800
3.183 0.000 1.158
3.640 1.555 8.349
5.592 1.555 5.373
6.099 0.000 3.096
7.846 0.000 5.937
8.363 1.555 3.628
8.440 1.555 8.242
```

Space group = Pm, No. 6
Uncorrected energy = -5.844 eV per atom
DFT formation energy = -1.868 eV per atom

[4]
# La8Mn9O27

Crystalline La8Mn9O27 at its relaxed geometry (GGA+U, the Materials Project database).

```
La8Mn9O27
1.0
4.762 -8.339 0.000
4.762 8.339 0.000
-0.126 0.000 13.591
La Mn O
16 18 54
Cartesian
4.668 8.303 10.194
1.609 2.801 5.653
3.208 5.504 1.166
6.254 5.504 5.630
3.207 0.075 1.203
4.668 2.748 10.194
1.546 -2.801 12.449
3.145 -0.075 7.999
6.254 0.075 5.593
7.853 2.801 1.143
4.731 -2.748 3.398
6.191 -0.075 12.388
3.145 -5.504 7.962
6.191 -5.504 12.425
7.790 -2.801 7.938
4.731 -8.303 3.398
0.000 0.000 0.000
-0.063 0.000 6.796
1.594 2.789 2.280
3.145 5.535 4.523
4.754 2.781 0.026
3.139 0.022 4.527
4.708 2.781 6.769
6.317 5.535 2.272
3.076 -0.022 11.322
1.531 -2.789 9.076
7.868 2.789 4.516
6.323 0.022 2.269
3.082 -5.535 11.319
4.691 -2.781 6.822
6.260 -0.022 9.065
4.645 -2.781 13.565
6.254 -5.535 9.068
7.805 -2.789 11.311
3.952 7.099 12.218
0.823 1.530 7.670
2.342 3.935 10.423
2.130 1.452 3.647
1.455 0.334 12.473
4.731 5.908 3.398
5.384 7.099 8.169
3.767 4.309 12.693
3.118 3.062 7.941
3.071 2.497 0.991
3.944 4.102 5.570
2.355 1.226 9.952
4.668 5.268 10.194
1.518 -0.334 5.677
0.886 -1.530 0.874
2.067 -1.452 10.442
2.418 -1.226 3.156
3.804 1.201 5.971
3.940 1.528 12.220
5.569 4.309 7.694
5.518 4.102 1.226
3.008 -2.497 7.787
3.741 -1.201 12.767
6.218 3.062 12.446
5.396 1.528 8.167
2.405 -3.935 3.628
4.731 0.123 3.398
4.668 -0.123 10.194
6.994 3.935 9.964
4.003 -1.528 5.424
3.181 -3.062 1.146
5.658 1.201 0.825
6.391 2.497 5.804
3.881 -4.102 12.366
3.830 -4.309 5.897
5.459 -1.528 1.372
5.595 -1.201 7.620
6.981 1.226 10.435
7.332 1.452 3.149
8.513 1.530 12.717
7.881 0.334 7.914
4.731 -5.268 3.398
7.044 -1.226 3.639
5.455 -4.102 8.021
6.328 -2.497 12.600
6.281 -3.062 5.650
5.632 -4.309 0.899
4.015 -7.099 5.422
4.668 -5.908 10.194
7.944 -0.334 1.119
7.269 -1.452 9.945
7.057 -3.935 3.168
8.576 -1.530 5.922
5.447 -7.099 1.374
```

Space group = C2/c, No. 15
Uncorrected energy = -7.921 eV per atom
DFT formation energy = -2.876 eV per atom

Q: Number 3 is which compound?
A: FeOF